[1]
A relaxed Ba5Li2U3O15 crystal, computed with r2SCAN. Values from VASP.

Properties
Total magnetic moment = 0.00 μB per formula unit
Energy of formation = -3226.4 meV/atom
Crystal system = tetragonal

Geometry as Quantum ESPRESSO input:
```
&SYSTEM
  ibrav = 0, nat = 50, ntyp = 4
/
ATOMIC_SPECIES
Ba 137.33 Ba.upf
Li 6.94 Li.upf
U 238.03 U.upf
O 16.00 O.upf
ATOMIC_POSITIONS crystal
Ba 0.750 0.250 0.500
Ba 0.526 0.633 0.683
Ba 0.950 0.844 0.317
Ba 0.156 0.474 0.106
Ba 0.367 0.050 0.894
Ba 0.844 0.526 0.894
Ba 0.633 0.950 0.106
Ba 0.050 0.156 0.683
Ba 0.250 0.750 0.500
Ba 0.474 0.367 0.317
Li 0.406 0.194 0.600
Li 0.806 0.406 0.213
Li 0.194 0.594 0.787
Li 0.594 0.806 0.400
U 0.302 0.903 0.205
U 0.097 0.302 0.399
U 0.500 0.500 0.000
U 0.698 0.097 0.795
U 0.903 0.698 0.601
U 0.000 0.000 0.000
O 0.538 0.140 0.201
O 0.337 0.538 0.398
O 0.761 0.761 0.000
O 0.939 0.337 0.799
O 0.140 0.939 0.602
O 0.253 0.760 0.014
O 0.046 0.144 0.191
O 0.451 0.361 0.811
O 0.655 0.953 0.608
O 0.851 0.552 0.403
O 0.144 0.954 0.098
O 0.953 0.345 0.299
O 0.361 0.549 0.910
O 0.552 0.149 0.701
O 0.760 0.747 0.507
O 0.061 0.663 0.201
O 0.860 0.061 0.398
O 0.239 0.239 0.000
O 0.462 0.860 0.799
O 0.663 0.462 0.602
O 0.345 0.047 0.392
O 0.149 0.448 0.597
O 0.549 0.639 0.189
O 0.747 0.240 0.986
O 0.954 0.856 0.809
O 0.448 0.851 0.299
O 0.240 0.253 0.493
O 0.639 0.451 0.090
O 0.856 0.046 0.902
O 0.047 0.655 0.701
CELL_PARAMETERS angstrom
7.037 7.164 2.990
-6.936 -5.688 5.416
6.488 -7.633 -3.071
```


[2]
A relaxed HoFeSi crystal, computed with r2SCAN. Values from VASP.

Properties
Total magnetic moment = 0.00 μB per formula unit
Energy of formation = -516.2 meV/atom
Crystal system = tetragonal

Geometry as Quantum ESPRESSO input:
```
&SYSTEM
  ibrav = 0, nat = 6, ntyp = 3
/
ATOMIC_SPECIES
Ho 164.93 Ho.upf
Fe 55.84 Fe.upf
Si 28.09 Si.upf
ATOMIC_POSITIONS crystal
Ho 0.750 0.750 0.311
Ho 0.250 0.250 0.689
Fe 0.750 0.250 0.000
Fe 0.250 0.750 0.000
Si 0.750 0.750 0.820
Si 0.250 0.250 0.180
CELL_PARAMETERS angstrom
-1.310 2.946 2.409
-3.687 -1.612 -0.033
1.487 -3.507 5.097
```


[3]
A relaxed KTh2Se6 crystal, computed with r2SCAN. Values from VASP.

Properties
Total magnetic moment = 0.00 μB per formula unit
Energy of formation = -1697.0 meV/atom
Crystal system = orthorhombic

Geometry as Quantum ESPRESSO input:
```
&SYSTEM
  ibrav = 0, nat = 9, ntyp = 3
/
ATOMIC_SPECIES
K 39.10 K.upf
Th 232.04 Th.upf
Se 78.96 Se.upf
ATOMIC_POSITIONS crystal
K 0.000 0.000 0.000
Th 0.323 0.823 0.500
Th 0.677 0.177 0.500
Se 0.228 0.228 0.000
Se 0.357 0.603 0.755
Se 0.643 0.397 0.245
Se 0.152 0.397 0.755
Se 0.848 0.603 0.245
Se 0.772 0.772 0.000
CELL_PARAMETERS angstrom
-0.487 -11.596 -0.035
-4.433 -9.330 5.292
0.306 10.277 -5.385
```


[4]
A relaxed Mn3As4O16 crystal, computed with r2SCAN. Values from VASP.

Properties
Total magnetic moment = 11.00 μB per formula unit
Energy of formation = -1317.2 meV/atom
Crystal system = monoclinic

Geometry as Quantum ESPRESSO input:
```
&SYSTEM
  ibrav = 0, nat = 46, ntyp = 3
/
ATOMIC_SPECIES
Mn 54.94 Mn.upf
As 74.92 As.upf
O 16.00 O.upf
ATOMIC_POSITIONS crystal
Mn 0.453 0.225 0.624
Mn 0.547 0.775 0.376
Mn 0.953 0.775 0.876
Mn 0.047 0.225 0.124
Mn 0.000 0.500 0.500
Mn 0.500 0.500 0.000
As 0.047 0.045 0.355
As 0.468 0.422 0.389
As 0.968 0.578 0.111
As 0.032 0.422 0.889
As 0.953 0.955 0.645
As 0.532 0.578 0.611
As 0.453 0.045 0.855
As 0.547 0.955 0.145
O 0.486 0.791 0.251
O 0.901 0.739 0.006
O 0.439 0.371 0.294
O 0.380 0.135 0.148
O 0.561 0.629 0.706
O 0.014 0.791 0.751
O 0.939 0.629 0.206
O 0.753 0.543 0.899
O 0.555 0.122 0.941
O 0.514 0.209 0.749
O 0.120 0.135 0.648
O 0.247 0.457 0.101
O 0.264 0.593 0.404
O 0.445 0.878 0.059
O 0.630 0.023 0.636
O 0.130 0.977 0.864
O 0.764 0.407 0.096
O 0.061 0.371 0.794
O 0.055 0.878 0.559
O 0.253 0.457 0.601
O 0.870 0.023 0.136
O 0.370 0.977 0.364
O 0.099 0.261 0.994
O 0.401 0.261 0.494
O 0.736 0.407 0.596
O 0.986 0.209 0.249
O 0.620 0.865 0.852
O 0.945 0.122 0.441
O 0.599 0.739 0.506
O 0.747 0.543 0.399
O 0.236 0.593 0.904
O 0.880 0.865 0.352
CELL_PARAMETERS angstrom
-4.979 -0.751 -0.374
1.257 -5.270 -6.141
1.696 -13.849 5.239
```